[1]
# LiMg6SiO8

A geometry-optimized LiMg6SiO8 structure (PBE-GGA, the Materials Project).

Structure (POSCAR):
```
LiMg6SiO8
1.0
4.211 0.000 0.000
0.000 4.211 0.000
0.000 0.000 8.550
Li Mg Si O
1 6 1 8
direct
0.000 0.000 0.000 Li
0.000 0.000 0.500 Mg
0.000 0.500 0.246 Mg
0.000 0.500 0.754 Mg
0.500 0.000 0.246 Mg
0.500 0.000 0.754 Mg
0.500 0.500 0.500 Mg
0.500 0.500 0.000 Si
0.000 0.000 0.257 O
0.000 0.000 0.743 O
0.000 0.500 0.000 O
0.000 0.500 0.500 O
0.500 0.000 0.000 O
0.500 0.000 0.500 O
0.500 0.500 0.238 O
0.500 0.500 0.762 O
```

The magnetization comes out at 0.0 μB/cell. The space-group type is P4/mmm.

=====

[2]
# PrCoGe

A geometry-optimized PrCoGe structure (PBE-GGA, the Materials Project).

Structure (POSCAR):
```
PrCoGe
1.0
4.160 0.000 0.000
0.000 4.160 0.000
0.000 0.000 6.981
Pr Co Ge
2 2 2
direct
0.250 0.250 0.188 Pr
0.750 0.750 0.812 Pr
0.250 0.750 0.500 Co
0.750 0.250 0.500 Co
0.250 0.250 0.681 Ge
0.750 0.750 0.319 Ge
```

The space-group type is P4/nmm.

=====

[3]
# CaAu

A geometry-optimized CaAu structure (PBE-GGA, the Materials Project).

Structure (POSCAR):
```
CaAu
1.0
2.011 -5.541 0.000
2.011 5.541 0.000
0.000 0.000 4.667
Ca Au
2 2
direct
0.139 0.861 0.750 Ca
0.861 0.139 0.250 Ca
0.419 0.581 0.750 Au
0.581 0.419 0.250 Au
```

The space-group type is Cmcm.

=====

[4]
# Cu2PdAu

A geometry-optimized Cu2PdAu structure (PBE-GGA, the Materials Project).

Structure (POSCAR):
```
Cu2PdAu
1.0
0.000 3.052 3.052
3.052 0.000 3.052
3.052 3.052 0.000
Cu Pd Au
2 1 1
direct
0.250 0.250 0.250 Cu
0.750 0.750 0.750 Cu
0.000 0.000 0.000 Pd
0.500 0.500 0.500 Au
```

The space-group type is Fm-3m.

=====

[5]
# MgCu2WS4

A geometry-optimized MgCu2WS4 structure (PBE-GGA, the Materials Project).

Structure (POSCAR):
```
MgCu2WS4
1.0
5.660 0.000 0.000
0.000 5.660 0.000
0.000 0.000 5.777
Mg Cu W S
1 2 1 4
direct
0.000 0.000 0.000 Mg
0.000 0.500 0.000 Cu
0.500 0.000 0.000 Cu
0.500 0.500 0.000 W
0.261 0.261 0.769 S
0.261 0.739 0.231 S
0.739 0.261 0.231 S
0.739 0.739 0.769 S
```

The magnetization comes out at 1.9 μB/cell. The energy above the lowest structure with this stoichiometry is 0.035 eV per atom. The space-group type is P-42m.

=====

[6]
# SiO2

A geometry-optimized SiO2 structure (PBE-GGA, the Materials Project).

Structure (POSCAR):
```
SiO2
1.0
4.934 0.000 0.000
-1.573 6.595 0.000
-0.775 -3.477 6.031
Si O
4 8
direct
0.000 0.000 0.000 Si
0.148 0.537 0.285 Si
0.488 0.829 0.131 Si
0.734 0.823 0.511 Si
0.017 0.258 0.193 O
0.268 0.582 0.092 O
0.306 0.960 0.051 O
0.424 0.659 0.502 O
0.654 0.977 0.399 O
0.738 0.797 0.996 O
0.899 0.653 0.356 O
0.934 0.989 0.761 O
```

The magnetization comes out at 0.0 μB/cell. The space-group type is P1.

=====

[7]
# MgSi2

A geometry-optimized MgSi2 structure (PBE-GGA, the Materials Project).

Structure (POSCAR):
```
MgSi2
1.0
5.921 0.000 0.000
0.466 6.731 0.000
0.948 2.509 11.197
Mg Si
8 16
direct
0.000 0.000 0.000 Mg
0.019 0.062 0.461 Mg
0.095 0.519 0.413 Mg
0.202 0.452 0.000 Mg
0.492 0.100 0.905 Mg
0.512 0.273 0.325 Mg
0.607 0.512 0.774 Mg
0.654 0.649 0.016 Mg
0.052 0.663 0.646 Si
0.152 0.333 0.765 Si
0.306 0.064 0.156 Si
0.308 0.800 0.845 Si
0.315 0.235 0.585 Si
0.356 0.670 0.202 Si
0.381 0.866 0.626 Si
0.392 0.860 0.356 Si
0.654 0.239 0.081 Si
0.694 0.333 0.542 Si
0.716 0.699 0.530 Si
0.796 0.870 0.319 Si
0.828 0.170 0.732 Si
0.909 0.812 0.812 Si
0.956 0.651 0.184 Si
0.960 0.273 0.216 Si
```

The magnetization comes out at 0.0 μB/cell. The energy above the lowest structure with this stoichiometry is 0.115 eV per atom. The space-group type is P1.

=====

[8]
# ZnAgPO4

A geometry-optimized ZnAgPO4 structure (PBE-GGA, the Materials Project).

Structure (POSCAR):
```
ZnAgPO4
1.0
8.868 0.000 0.000
0.000 8.309 0.000
-8.746 0.000 15.719
Zn Ag P O
12 12 12 48
direct
0.025 0.207 0.419 Zn
0.025 0.293 0.919 Zn
0.319 0.209 0.237 Zn
0.319 0.291 0.737 Zn
0.342 0.712 0.409 Zn
0.342 0.788 0.909 Zn
0.658 0.212 0.091 Zn
0.658 0.288 0.591 Zn
0.681 0.709 0.263 Zn
0.681 0.791 0.763 Zn
0.975 0.707 0.081 Zn
0.975 0.793 0.581 Zn
0.045 0.000 0.754 Ag
0.045 0.500 0.254 Ag
0.280 0.510 0.564 Ag
0.280 0.990 0.064 Ag
0.359 0.522 0.090 Ag
0.359 0.978 0.590 Ag
0.641 0.022 0.410 Ag
0.641 0.478 0.910 Ag
0.720 0.010 0.936 Ag
0.720 0.490 0.436 Ag
0.955 0.000 0.246 Ag
0.955 0.500 0.746 Ag
0.020 0.682 0.921 P
0.020 0.818 0.421 P
0.312 0.681 0.736 P
0.312 0.819 0.236 P
0.350 0.179 0.910 P
0.350 0.321 0.410 P
0.650 0.679 0.590 P
0.650 0.821 0.090 P
0.688 0.181 0.764 P
0.688 0.319 0.264 P
0.980 0.182 0.579 P
0.980 0.318 0.079 P
0.060 0.723 0.503 O
0.060 0.777 0.003 O
0.092 0.724 0.370 O
0.092 0.776 0.870 O
0.112 0.515 0.947 O
0.112 0.985 0.447 O
0.140 0.721 0.204 O
0.140 0.779 0.704 O
0.177 0.157 0.636 O
0.177 0.343 0.136 O
0.231 0.159 0.951 O
0.231 0.341 0.451 O
0.247 0.228 0.325 O
0.247 0.272 0.825 O
0.262 0.514 0.692 O
0.262 0.986 0.192 O
0.401 0.010 0.892 O
0.401 0.490 0.392 O
0.402 0.662 0.834 O
0.402 0.838 0.334 O
0.430 0.730 0.208 O
0.430 0.770 0.708 O
0.484 0.726 0.029 O
0.484 0.774 0.529 O
0.516 0.226 0.471 O
0.516 0.274 0.971 O
0.570 0.230 0.292 O
0.570 0.270 0.792 O
0.598 0.162 0.666 O
0.598 0.338 0.166 O
0.599 0.510 0.608 O
0.599 0.990 0.108 O
0.738 0.014 0.808 O
0.738 0.486 0.308 O
0.753 0.728 0.175 O
0.753 0.772 0.675 O
0.769 0.659 0.549 O
0.769 0.841 0.049 O
0.823 0.657 0.864 O
0.823 0.843 0.364 O
0.860 0.221 0.296 O
0.860 0.279 0.796 O
0.888 0.015 0.553 O
0.888 0.485 0.053 O
0.908 0.224 0.130 O
0.908 0.276 0.630 O
0.940 0.223 0.997 O
0.940 0.277 0.497 O
```

The magnetization comes out at 0.0 μB/cell. The energy above the lowest structure with this stoichiometry is 0.025 eV per atom. The space-group type is P2_1/c.

=====

[9]
# SbAsO4

A geometry-optimized SbAsO4 structure (PBE-GGA, the Materials Project).

Structure (POSCAR):
```
SbAsO4
1.0
4.945 0.000 0.000
0.000 7.109 0.000
-0.627 0.000 5.631
Sb As O
2 2 8
direct
0.185 0.250 0.199 Sb
0.815 0.750 0.801 Sb
0.284 0.750 0.388 As
0.716 0.250 0.612 As
0.183 0.560 0.218 O
0.183 0.940 0.218 O
0.185 0.750 0.676 O
0.363 0.250 0.545 O
0.637 0.750 0.455 O
0.815 0.250 0.324 O
0.817 0.060 0.782 O
0.817 0.440 0.782 O
```

The space-group type is P2_1/m.

=====

[10]
# HoTa5Ag2O15

A geometry-optimized HoTa5Ag2O15 structure (PBE-GGA, the Materials Project).

Structure (POSCAR):
```
HoTa5Ag2O15
1.0
12.580 0.000 0.000
0.000 12.580 0.000
0.000 0.000 3.916
Ho Ta Ag O
2 10 4 30
direct
0.000 0.000 0.000 Ho
0.500 0.500 0.000 Ho
0.000 0.500 0.500 Ta
0.079 0.211 0.500 Ta
0.211 0.921 0.500 Ta
0.289 0.421 0.500 Ta
0.421 0.711 0.500 Ta
0.500 0.000 0.500 Ta
0.579 0.289 0.500 Ta
0.711 0.579 0.500 Ta
0.789 0.079 0.500 Ta
0.921 0.789 0.500 Ta
0.172 0.672 0.000 Ag
0.328 0.172 0.000 Ag
0.672 0.828 0.000 Ag
0.828 0.328 0.000 Ag
0.000 0.500 0.000 O
0.002 0.659 0.500 O
0.057 0.871 0.500 O
0.080 0.190 0.000 O
0.129 0.057 0.500 O
0.159 0.502 0.500 O
0.190 0.920 0.000 O
0.226 0.274 0.500 O
0.274 0.774 0.500 O
0.310 0.420 0.000 O
0.341 0.002 0.500 O
0.371 0.557 0.500 O
0.420 0.690 0.000 O
0.443 0.371 0.500 O
0.498 0.159 0.500 O
0.500 0.000 0.000 O
0.502 0.841 0.500 O
0.557 0.629 0.500 O
0.580 0.310 0.000 O
0.629 0.443 0.500 O
0.659 0.998 0.500 O
0.690 0.580 0.000 O
0.726 0.226 0.500 O
0.774 0.726 0.500 O
0.810 0.080 0.000 O
0.841 0.498 0.500 O
0.871 0.943 0.500 O
0.920 0.810 0.000 O
0.943 0.129 0.500 O
0.998 0.341 0.500 O
```

The magnetization comes out at 0.0 μB/cell. The space-group type is P4/mbm.

=====

[11]
# LiO2

A geometry-optimized LiO2 structure (PBE-GGA, the Materials Project).

Structure (POSCAR):
```
LiO2
1.0
1.585 0.915 3.320
-1.585 0.915 3.320
0.000 -1.830 3.320
Li O
1 2
direct
0.000 0.000 0.000 Li
0.223 0.223 0.223 O
0.777 0.777 0.777 O
```

The magnetization comes out at 3.0 μB/cell. The energy above the lowest structure with this stoichiometry is 0.508 eV per atom. The space-group type is R-3m.

=====

[12]
# La23Mg4Pt7

A geometry-optimized La23Mg4Pt7 structure (PBE-GGA, the Materials Project).

Structure (POSCAR):
```
La23Mg4Pt7
1.0
10.340 0.000 0.000
-5.170 8.955 0.000
0.000 0.000 23.365
La Mg Pt
46 8 14
direct
0.000 0.000 0.052 La
0.000 0.000 0.552 La
0.079 0.539 0.138 La
0.085 0.542 0.409 La
0.129 0.258 0.688 La
0.129 0.871 0.688 La
0.204 0.409 0.835 La
0.204 0.796 0.835 La
0.207 0.413 0.272 La
0.207 0.414 0.000 La
0.207 0.793 0.000 La
0.207 0.793 0.272 La
0.211 0.422 0.544 La
0.211 0.789 0.544 La
0.258 0.129 0.188 La
0.333 0.667 0.697 La
0.409 0.204 0.335 La
0.413 0.207 0.772 La
0.414 0.207 0.500 La
0.422 0.211 0.044 La
0.458 0.542 0.409 La
0.458 0.915 0.409 La
0.461 0.539 0.138 La
0.461 0.921 0.138 La
0.539 0.079 0.638 La
0.539 0.461 0.638 La
0.542 0.085 0.909 La
0.542 0.458 0.909 La
0.578 0.789 0.544 La
0.586 0.793 0.000 La
0.587 0.793 0.272 La
0.591 0.796 0.835 La
0.667 0.333 0.197 La
0.742 0.871 0.688 La
0.789 0.211 0.044 La
0.789 0.578 0.044 La
0.793 0.207 0.500 La
0.793 0.207 0.772 La
0.793 0.586 0.500 La
0.793 0.587 0.772 La
0.796 0.204 0.335 La
0.796 0.591 0.335 La
0.871 0.129 0.188 La
0.871 0.742 0.188 La
0.915 0.458 0.909 La
0.921 0.461 0.638 La
0.000 0.000 0.303 Mg
0.000 0.000 0.803 Mg
0.106 0.211 0.416 Mg
0.106 0.894 0.416 Mg
0.211 0.106 0.916 Mg
0.789 0.894 0.416 Mg
0.894 0.106 0.916 Mg
0.894 0.789 0.916 Mg
0.043 0.521 0.763 Pt
0.143 0.286 0.117 Pt
0.143 0.857 0.117 Pt
0.286 0.143 0.617 Pt
0.333 0.667 0.916 Pt
0.479 0.521 0.763 Pt
0.479 0.957 0.763 Pt
0.521 0.043 0.263 Pt
0.521 0.479 0.263 Pt
0.667 0.333 0.416 Pt
0.714 0.857 0.117 Pt
0.857 0.143 0.617 Pt
0.857 0.714 0.617 Pt
0.957 0.479 0.263 Pt
```

The magnetization comes out at 1.1 μB/cell. The space-group type is P6_3mc.

=====

| no. | V (Å³/cell) | ΔE_f (kJ/mol of atoms) |
| --- | --- | --- |
| 1 | 151.6 | -267 |
| 2 | 120.8 | -57 |
| 3 | 104.0 | -78 |
| 4 | 56.9 | -11 |
| 5 | 185.1 | -59 |
| 6 | 196.2 | -309 |
| 7 | 446.2 | 19 |
| 8 | 1158.3 | -193 |
| 9 | 197.9 | -167 |
| 10 | 619.6 | -289 |
| 11 | 28.9 | -52 |
| 12 | 2163.6 | -54 |